An optimized crystal structure of SiS2, computed with meta-GGA r2SCAN.

Values from the calculation:
Electronic total energy: -9.03 eV/atom
Formation energy: -750 meV/atom

a = 5.549 Å, b = 5.749 Å, c = 6.330 Å
α = 117.01°, β = 115.99°, γ = 90.00°
Element x y z (fractional)
Si  0.750  0.000  0.000
Si  0.250  0.000  0.000
S  0.885  0.683  0.769
S  0.115  0.317  0.231
S  0.615  0.914  0.231
S  0.385  0.086  0.769